A plane-wave DFT calculation with GGA+U was carried out for a relaxed Li4CrTe2WO12 crystal.

Values from the calculation:
Formation energy: -1.96 eV/atom
Calculated volume: 426.5 Å³ per cell
ΔE to the lowest computed polymorph: 0 meV per atom

Cell and atoms, written as POSCAR:
```
Li4CrTe2WO12
1.0
0.583 6.184 4.261
5.465 -2.955 4.267
5.469 2.927 -4.291
Li Cr Te W O
8 2 4 2 24
Direct
0.304 0.282 0.276 Li
0.304 0.781 0.776 Li
0.766 0.294 0.791 Li
0.766 0.794 0.291 Li
0.749 0.756 0.766 Li
0.749 0.256 0.266 Li
0.309 0.800 0.295 Li
0.308 0.300 0.795 Li
0.500 0.004 0.505 Cr
0.500 0.504 0.005 Cr
0.503 0.498 0.501 Te
0.503 0.998 0.001 Te
0.001 0.504 0.004 Te
0.001 0.004 0.504 Te
0.004 0.500 0.499 W
0.004 0.000 0.999 W
0.426 0.259 0.553 O
0.426 0.759 0.053 O
0.753 0.428 0.556 O
0.753 0.928 0.056 O
0.060 0.424 0.737 O
0.059 0.924 0.237 O
0.431 0.550 0.743 O
0.432 0.050 0.243 O
0.932 0.239 0.066 O
0.932 0.740 0.566 O
0.753 0.545 0.924 O
0.753 0.045 0.425 O
0.248 0.428 0.054 O
0.247 0.928 0.554 O
0.058 0.759 0.918 O
0.058 0.259 0.418 O
0.550 0.430 0.258 O
0.550 0.930 0.758 O
0.928 0.569 0.257 O
0.928 0.069 0.756 O
0.245 0.562 0.433 O
0.245 0.062 0.933 O
0.552 0.741 0.436 O
0.553 0.241 0.936 O
```


A plane-wave DFT calculation with GGA+U was carried out for a relaxed Na9Co2O7 crystal.

Values from the calculation:
Formation energy: -1.49 eV/atom
Symmetry: Pca2_1, No. 29
Calculated volume: 982.1 Å³ per cell

Cell and atoms, written as POSCAR:
```
Na9Co2O7
1.0
9.602 0.000 0.000
0.000 9.935 0.000
0.000 0.000 10.295
Na Co O
36 8 28
Direct
0.014 0.245 0.036 Na
0.020 0.659 0.791 Na
0.067 0.168 0.769 Na
0.072 0.548 0.058 Na
0.090 0.013 0.500 Na
0.153 0.059 0.201 Na
0.161 0.605 0.390 Na
0.214 0.275 0.464 Na
0.226 0.785 0.135 Na
0.274 0.785 0.635 Na
0.286 0.275 0.964 Na
0.339 0.605 0.890 Na
0.347 0.059 0.701 Na
0.410 0.013 0.000 Na
0.428 0.548 0.558 Na
0.433 0.168 0.269 Na
0.480 0.659 0.291 Na
0.486 0.245 0.536 Na
0.514 0.755 0.036 Na
0.520 0.341 0.791 Na
0.567 0.832 0.769 Na
0.572 0.452 0.058 Na
0.590 0.987 0.500 Na
0.653 0.941 0.201 Na
0.661 0.395 0.390 Na
0.714 0.725 0.464 Na
0.726 0.215 0.135 Na
0.774 0.215 0.635 Na
0.786 0.725 0.964 Na
0.839 0.395 0.890 Na
0.847 0.941 0.701 Na
0.910 0.987 0.000 Na
0.928 0.452 0.558 Na
0.933 0.832 0.269 Na
0.980 0.341 0.291 Na
0.986 0.755 0.536 Na
0.158 0.899 0.879 Co
0.191 0.432 0.715 Co
0.309 0.432 0.215 Co
0.342 0.899 0.379 Co
0.658 0.101 0.879 Co
0.691 0.568 0.715 Co
0.809 0.568 0.215 Co
0.842 0.101 0.379 Co
0.041 0.782 0.984 O
0.085 0.425 0.872 O
0.093 0.923 0.707 O
0.157 0.581 0.615 O
0.159 0.835 0.355 O
0.165 0.067 0.965 O
0.196 0.287 0.199 O
0.304 0.287 0.699 O
0.335 0.067 0.465 O
0.341 0.835 0.855 O
0.343 0.581 0.115 O
0.407 0.923 0.207 O
0.415 0.425 0.372 O
0.459 0.782 0.484 O
0.541 0.218 0.984 O
0.585 0.575 0.872 O
0.593 0.077 0.707 O
0.657 0.419 0.615 O
0.659 0.165 0.355 O
0.665 0.933 0.965 O
0.696 0.713 0.199 O
0.804 0.713 0.699 O
0.835 0.933 0.465 O
0.841 0.165 0.855 O
0.843 0.419 0.115 O
0.907 0.077 0.207 O
0.915 0.575 0.372 O
0.959 0.218 0.484 O
```


A plane-wave DFT calculation with GGA+U was carried out for a relaxed V2ZnO4 crystal.

Values from the calculation:
Formation energy: -2.20 eV/atom
Symmetry: Pnma, No. 62
Calculated volume: 289.3 Å³ per cell
ΔE to the lowest computed polymorph: 145 meV per atom

Cell and atoms, written as POSCAR:
```
V2ZnO4
1.0
9.266 0.000 0.000
0.000 2.973 0.000
0.000 0.000 10.503
V Zn O
8 4 16
Direct
0.063 0.250 0.121 V
0.092 0.250 0.603 V
0.408 0.750 0.103 V
0.437 0.750 0.621 V
0.563 0.250 0.379 V
0.592 0.250 0.897 V
0.908 0.750 0.397 V
0.937 0.750 0.879 V
0.247 0.750 0.854 Zn
0.253 0.250 0.354 Zn
0.747 0.750 0.646 Zn
0.753 0.250 0.146 Zn
0.045 0.750 0.718 O
0.090 0.250 0.930 O
0.122 0.750 0.463 O
0.202 0.750 0.177 O
0.298 0.250 0.677 O
0.378 0.250 0.963 O
0.410 0.750 0.430 O
0.455 0.250 0.218 O
0.545 0.750 0.782 O
0.590 0.250 0.570 O
0.622 0.750 0.037 O
0.702 0.750 0.323 O
0.798 0.250 0.823 O
0.878 0.250 0.537 O
0.910 0.750 0.070 O
0.955 0.250 0.282 O
```


A plane-wave DFT calculation with GGA+U was carried out for a relaxed NaCaAlFeSi4O12 crystal.

Values from the calculation:
Formation energy: -3.07 eV/atom
Symmetry: C2, No. 5
Calculated volume: 663.6 Å³ per cell
ΔE to the lowest computed polymorph: 7 meV per atom

Cell and atoms, written as POSCAR:
```
NaCaAlFeSi4O12
1.0
4.867 -4.467 0.000
4.867 4.467 0.000
-4.726 0.000 15.263
Na Ca Al Fe Si O
3 3 3 3 12 36
Direct
0.000 0.000 0.000 Na
0.400 0.596 0.166 Na
0.404 0.600 0.834 Na
0.003 0.004 0.669 Ca
0.398 0.602 0.500 Ca
0.996 0.997 0.331 Ca
0.599 0.401 0.000 Al
0.792 0.199 0.161 Al
0.801 0.208 0.839 Al
0.601 0.391 0.328 Fe
0.609 0.399 0.672 Fe
0.791 0.209 0.500 Fe
0.069 0.494 0.323 Si
0.084 0.498 0.665 Si
0.086 0.497 0.992 Si
0.312 0.101 0.170 Si
0.322 0.105 0.505 Si
0.323 0.106 0.845 Si
0.502 0.916 0.335 Si
0.503 0.914 0.008 Si
0.506 0.931 0.677 Si
0.894 0.677 0.155 Si
0.895 0.678 0.495 Si
0.899 0.688 0.830 Si
0.028 0.679 0.750 O
0.029 0.660 0.416 O
0.046 0.646 0.251 O
0.047 0.651 0.085 O
0.070 0.648 0.920 O
0.073 0.632 0.584 O
0.075 0.192 0.146 O
0.083 0.188 0.821 O
0.089 0.185 0.472 O
0.302 0.411 0.354 O
0.311 0.404 0.694 O
0.321 0.972 0.250 O
0.322 0.403 0.012 O
0.340 0.971 0.584 O
0.349 0.953 0.915 O
0.352 0.930 0.080 O
0.354 0.954 0.749 O
0.368 0.927 0.416 O
0.494 0.279 0.536 O
0.511 0.252 0.194 O
0.519 0.265 0.878 O
0.589 0.698 0.646 O
0.596 0.689 0.306 O
0.597 0.678 0.988 O
0.663 0.111 0.040 O
0.672 0.094 0.365 O
0.683 0.105 0.717 O
0.721 0.506 0.464 O
0.735 0.481 0.122 O
0.748 0.489 0.806 O
0.808 0.925 0.854 O
0.812 0.917 0.179 O
0.815 0.911 0.528 O
0.889 0.337 0.960 O
0.895 0.317 0.283 O
0.906 0.328 0.635 O
```


A plane-wave DFT calculation with GGA+U was carried out for a relaxed LiVBO4 crystal.

Values from the calculation:
Formation energy: -2.55 eV/atom
Symmetry: R-3, No. 148
Calculated volume: 437.1 Å³ per cell
ΔE to the lowest computed polymorph: 48 meV per atom

Cell and atoms, written as POSCAR:
```
LiVBO4
1.0
6.444 3.721 3.038
-6.444 3.721 3.038
0.000 -7.441 3.038
Li V B O
6 6 6 24
Direct
0.024 0.264 0.415 Li
0.264 0.415 0.024 Li
0.415 0.024 0.264 Li
0.585 0.976 0.736 Li
0.736 0.585 0.976 Li
0.976 0.736 0.585 Li
0.202 0.637 0.353 V
0.353 0.202 0.637 V
0.363 0.647 0.798 V
0.637 0.353 0.202 V
0.647 0.798 0.363 V
0.798 0.363 0.647 V
0.045 0.884 0.269 B
0.116 0.731 0.955 B
0.269 0.045 0.884 B
0.731 0.955 0.116 B
0.884 0.269 0.045 B
0.955 0.116 0.731 B
0.048 0.762 0.379 O
0.087 0.408 0.155 O
0.152 0.155 0.836 O
0.155 0.087 0.408 O
0.155 0.836 0.152 O
0.164 0.848 0.845 O
0.206 0.549 0.548 O
0.238 0.621 0.952 O
0.379 0.048 0.762 O
0.408 0.155 0.087 O
0.451 0.452 0.794 O
0.452 0.794 0.451 O
0.548 0.206 0.549 O
0.549 0.548 0.206 O
0.592 0.845 0.913 O
0.621 0.952 0.238 O
0.762 0.379 0.048 O
0.794 0.451 0.452 O
0.836 0.152 0.155 O
0.845 0.164 0.848 O
0.845 0.913 0.592 O
0.848 0.846 0.164 O
0.913 0.592 0.845 O
0.952 0.238 0.621 O
```


A plane-wave DFT calculation with GGA+U was carried out for a relaxed NaLaDyMnO6 crystal.

Values from the calculation:
Formation energy: -2.67 eV/atom
Symmetry: F-43m, No. 216
Calculated volume: 134.5 Å³ per cell

Cell and atoms, written as POSCAR:
```
NaLaDyMnO6
1.0
0.000 4.066 4.066
4.066 0.000 4.066
4.066 4.066 0.000
Na La Dy Mn O
1 1 1 1 6
Direct
0.000 0.000 0.000 Na
0.500 0.500 0.500 La
0.250 0.250 0.250 Dy
0.750 0.750 0.750 Mn
0.518 0.518 0.982 O
0.518 0.982 0.518 O
0.518 0.982 0.982 O
0.982 0.518 0.518 O
0.982 0.518 0.982 O
0.982 0.982 0.518 O
```


A plane-wave DFT calculation with GGA+U was carried out for a relaxed Li3Cr2P3O12 crystal.

Values from the calculation:
Formation energy: -2.65 eV/atom
Symmetry: Cc, No. 9
Calculated volume: 461.1 Å³ per cell
ΔE to the lowest computed polymorph: 14 meV per atom

Cell and atoms, written as POSCAR:
```
Li3Cr2P3O12
1.0
7.455 -4.342 0.000
7.455 4.342 0.000
-4.768 0.000 7.124
Li Cr P O
6 4 6 24
Direct
0.125 0.875 0.500 Li
0.242 0.502 0.098 Li
0.502 0.242 0.598 Li
0.549 0.809 0.538 Li
0.809 0.549 0.038 Li
0.875 0.125 0.000 Li
0.038 0.543 0.433 Cr
0.332 0.828 0.157 Cr
0.543 0.038 0.933 Cr
0.828 0.332 0.657 Cr
0.141 0.230 0.045 P
0.230 0.141 0.545 P
0.432 0.660 0.753 P
0.660 0.432 0.253 P
0.710 0.939 0.338 P
0.939 0.710 0.838 P
0.073 0.170 0.604 O
0.122 0.428 0.202 O
0.126 0.717 0.999 O
0.170 0.073 0.104 O
0.201 0.297 0.485 O
0.245 0.653 0.592 O
0.249 0.943 0.389 O
0.297 0.201 0.985 O
0.428 0.122 0.702 O
0.429 0.712 0.948 O
0.462 0.587 0.221 O
0.477 0.807 0.740 O
0.563 0.893 0.350 O
0.587 0.462 0.721 O
0.653 0.245 0.092 O
0.658 0.943 0.143 O
0.712 0.429 0.448 O
0.717 0.126 0.499 O
0.786 0.909 0.873 O
0.807 0.477 0.240 O
0.893 0.563 0.850 O
0.909 0.786 0.373 O
0.943 0.249 0.889 O
0.943 0.658 0.643 O
```


A plane-wave DFT calculation with GGA+U was carried out for a relaxed Li2Co3P4O14 crystal.

Values from the calculation:
Formation energy: -2.35 eV/atom
Symmetry: P-1, No. 2
Calculated volume: 513.3 Å³ per cell
ΔE to the lowest computed polymorph: 44 meV per atom

Cell and atoms, written as POSCAR:
```
Li2Co3P4O14
1.0
5.303 0.000 0.000
1.940 6.110 0.000
2.309 1.865 15.842
Li Co P O
4 6 8 28
Direct
0.072 0.228 0.493 Li
0.353 0.690 0.619 Li
0.647 0.310 0.381 Li
0.928 0.772 0.507 Li
0.043 0.628 0.311 Co
0.198 0.279 0.091 Co
0.235 0.967 0.836 Co
0.765 0.033 0.164 Co
0.802 0.721 0.909 Co
0.957 0.372 0.689 Co
0.176 0.098 0.290 P
0.294 0.781 0.041 P
0.364 0.431 0.820 P
0.439 0.753 0.426 P
0.561 0.247 0.574 P
0.636 0.569 0.180 P
0.706 0.219 0.959 P
0.824 0.902 0.710 P
0.016 0.035 0.718 O
0.025 0.300 0.336 O
0.115 0.986 0.082 O
0.161 0.600 0.048 O
0.176 0.658 0.839 O
0.210 0.292 0.789 O
0.258 0.328 0.574 O
0.282 0.854 0.505 O
0.323 0.577 0.404 O
0.346 0.143 0.207 O
0.393 0.547 0.237 O
0.399 0.955 0.350 O
0.413 0.843 0.951 O
0.441 0.301 0.910 O
0.559 0.699 0.090 O
0.587 0.157 0.049 O
0.601 0.045 0.650 O
0.607 0.453 0.763 O
0.654 0.857 0.793 O
0.677 0.423 0.596 O
0.718 0.146 0.495 O
0.742 0.672 0.426 O
0.790 0.708 0.211 O
0.824 0.342 0.161 O
0.839 0.400 0.952 O
0.885 0.014 0.918 O
0.975 0.700 0.664 O
0.984 0.965 0.282 O
```


Question: Which value of formation energy does entry 1 give?
Answer: -1.96 eV/atom